First-principles (PBE) data for a relaxed structure of CuSO5, as listed in Materials Project.

- V: 186.4 Å³ per cell
- E (MP2020): -82.638 eV for the cell shown
- E_tot: -5.4120 eV/atom

Cell and atoms, written as POSCAR:
```
CuSO5
1.0
4.975 -0.155 -2.074
-0.832 5.064 -2.294
-0.542 -0.864 8.126
Cu S O
2 2 10
Direct
0.000 0.000 0.000
0.500 0.500 0.500
0.406 0.066 0.755
0.594 0.934 0.245
0.843 0.663 0.744
0.157 0.337 0.256
0.279 0.170 0.893
0.721 0.830 0.107
0.733 0.173 0.886
0.267 0.827 0.114
0.321 0.743 0.641
0.679 0.257 0.359
0.316 0.159 0.606
0.684 0.841 0.394
```


First-principles (PBE) data for a relaxed structure of ZnIn3Se6, as listed in Materials Project.

- V: 299.1 Å³ per cell
- E (MP2020): -37.231 eV for the cell shown
- E_tot: -3.4399 eV/atom

Cell and atoms, written as POSCAR:
```
ZnIn3Se6
1.0
-2.038 -3.540 0.003
4.085 -0.005 -0.003
2.030 1.172 20.668
Zn In Se
1 3 6
Direct
0.603 0.397 0.809
0.001 0.999 0.003
0.213 0.787 0.638
0.785 0.215 0.358
0.254 0.746 0.763
0.745 0.255 0.236
0.641 0.359 0.923
0.357 0.643 0.070
0.860 0.140 0.580
0.140 0.860 0.420
```


First-principles (PBE) data for a relaxed structure of Na2YScP2SO12, as listed in Materials Project.

- V: 1674.0 Å³ per cell
- E (MP2020): -873.392 eV for the cell shown
- E_tot: -7.2274 eV/atom

Cell and atoms, written as POSCAR:
```
Na2YScP2SO12
1.0
9.086 0.010 0.026
-4.534 7.884 -0.026
0.067 -0.040 23.356
Na Y Sc P S O
12 6 6 12 6 72
Direct
0.995 0.630 0.254
0.373 0.009 0.750
0.663 0.960 0.587
0.039 0.338 0.088
0.326 0.296 0.919
0.703 0.673 0.418
0.023 0.995 0.500
0.010 0.981 0.001
0.688 0.325 0.832
0.671 0.312 0.334
0.353 0.659 0.170
0.341 0.647 0.666
0.994 0.006 0.848
0.001 0.998 0.153
0.669 0.331 0.983
0.328 0.674 0.020
0.327 0.672 0.517
0.334 0.664 0.812
0.989 0.002 0.349
0.003 0.001 0.647
0.658 0.337 0.682
0.664 0.344 0.186
0.665 0.331 0.482
0.334 0.668 0.318
0.698 0.701 0.253
0.000 0.303 0.250
0.296 0.292 0.747
0.704 0.007 0.743
0.376 0.049 0.584
0.672 0.628 0.582
0.958 0.627 0.087
0.371 0.334 0.084
0.037 0.369 0.918
0.332 0.969 0.913
0.629 0.965 0.417
0.031 0.668 0.413
0.300 0.000 0.254
0.993 0.702 0.746
0.952 0.329 0.584
0.667 0.042 0.088
0.631 0.667 0.917
0.331 0.368 0.415
0.213 0.024 0.303
0.816 0.787 0.306
0.981 0.183 0.300
0.226 0.193 0.804
0.971 0.775 0.800
0.803 0.022 0.798
0.794 0.986 0.690
0.178 0.187 0.697
0.014 0.813 0.697
0.779 0.809 0.200
0.029 0.233 0.193
0.195 0.968 0.201
0.871 0.349 0.636
0.484 0.130 0.639
0.657 0.518 0.634
0.867 0.518 0.141
0.652 0.132 0.138
0.483 0.342 0.135
0.446 0.317 0.026
0.858 0.538 0.033
0.685 0.137 0.034
0.470 0.159 0.531
0.690 0.545 0.526
0.850 0.308 0.532
0.549 0.685 0.969
0.139 0.450 0.973
0.324 0.865 0.966
0.560 0.856 0.472
0.304 0.442 0.468
0.139 0.691 0.467
0.117 0.643 0.359
0.510 0.867 0.366
0.359 0.481 0.366
0.134 0.476 0.865
0.349 0.886 0.857
0.530 0.650 0.866
0.008 0.826 0.407
0.807 0.980 0.407
0.185 0.196 0.407
0.026 0.193 0.914
0.171 0.987 0.913
0.803 0.816 0.913
0.964 0.170 0.588
0.196 0.028 0.589
0.830 0.811 0.588
0.982 0.806 0.090
0.825 0.031 0.090
0.188 0.180 0.089
0.683 0.167 0.740
0.474 0.307 0.740
0.847 0.530 0.740
0.688 0.525 0.246
0.839 0.322 0.247
0.470 0.151 0.247
0.639 0.508 0.919
0.859 0.349 0.919
0.487 0.152 0.916
0.647 0.142 0.424
0.492 0.360 0.421
0.848 0.509 0.421
0.354 0.497 0.084
0.134 0.634 0.086
0.517 0.870 0.085
0.365 0.873 0.580
0.513 0.652 0.580
0.126 0.478 0.580
0.313 0.843 0.260
0.519 0.678 0.262
0.155 0.485 0.260
0.313 0.469 0.749
0.155 0.695 0.749
0.520 0.850 0.747
```


First-principles (PBE) data for a relaxed structure of TeRuPb, as listed in Materials Project.

- V: 80.8 Å³ per cell
- E_tot: -4.3553 eV/atom

Cell and atoms, written as POSCAR:
```
TeRuPb
1.0
0.000 3.431 3.431
3.431 0.000 3.431
3.431 3.431 0.000
Te Ru Pb
1 1 1
Direct
0.500 0.500 0.500
0.000 0.000 0.000
0.750 0.750 0.750
```


First-principles (PBE) data for a relaxed structure of KCa12Si4S2O26F, as listed in Materials Project.

- V: 631.4 Å³ per cell
- E (MP2020): -334.634 eV for the cell shown
- E_tot: -6.8763 eV/atom

Cell and atoms, written as POSCAR:
```
KCa12Si4S2O26F
1.0
-0.126 -1.115 -14.454
-5.965 -4.829 -12.300
-6.264 2.391 -12.854
K Ca Si S O F
1 12 4 2 26 1
Direct
0.000 0.000 0.000
0.083 0.556 0.556
0.225 0.688 0.688
0.556 0.556 0.083
0.688 0.225 0.688
0.312 0.775 0.312
0.444 0.917 0.444
0.556 0.083 0.556
0.444 0.444 0.917
0.775 0.312 0.312
0.688 0.688 0.225
0.312 0.312 0.775
0.917 0.444 0.444
0.795 0.795 0.795
0.083 0.083 0.083
0.917 0.917 0.917
0.205 0.205 0.205
0.676 0.676 0.676
0.324 0.324 0.324
0.877 0.877 0.877
0.800 0.800 0.465
0.318 0.318 0.941
0.568 0.568 0.568
0.200 0.535 0.200
0.200 0.200 0.535
0.199 0.820 0.199
0.318 0.941 0.318
0.535 0.200 0.200
0.059 0.682 0.682
0.820 0.199 0.199
0.800 0.465 0.800
0.180 0.801 0.801
0.199 0.199 0.820
0.432 0.432 0.432
0.941 0.318 0.318
0.360 0.360 0.360
0.755 0.755 0.755
0.465 0.800 0.800
0.801 0.801 0.180
0.801 0.180 0.801
0.123 0.123 0.123
0.640 0.640 0.640
0.682 0.682 0.059
0.245 0.245 0.245
0.682 0.059 0.682
0.500 0.500 0.500
```


First-principles (PBE) data for a relaxed structure of Mg14NbZn, as listed in Materials Project.

- Energy relative to the lowest polymorph listed for this composition: 6.2 meV/atom
- V: 344.7 Å³ per cell
- E_tot: -2.0458 eV/atom

Cell and atoms, written as POSCAR:
```
Mg14NbZn
1.0
6.323 0.024 0.000
-3.141 5.440 0.000
0.000 0.000 10.000
Mg Nb Zn
14 1 1
Direct
0.167 0.333 0.625
0.167 0.833 0.625
0.665 0.336 0.125
0.666 0.333 0.625
0.665 0.829 0.125
0.666 0.833 0.625
0.328 0.161 0.367
0.328 0.161 0.883
0.328 0.667 0.367
0.328 0.667 0.883
0.838 0.169 0.370
0.838 0.169 0.880
0.842 0.671 0.371
0.842 0.671 0.879
0.164 0.832 0.125
0.170 0.335 0.125
```


First-principles (PBE) data for a relaxed structure of Tl8Cu4F11, as listed in Materials Project.

- V: 950.8 Å³ per cell
- E (MP2020): -184.655 eV for the cell shown
- E_tot: -3.7933 eV/atom

Cell and atoms, written as POSCAR:
```
Tl8Cu4F11
1.0
5.167 0.000 0.000
-2.531 12.229 0.000
-0.943 -0.618 15.049
Tl Cu F
16 8 22
Direct
0.305 0.176 0.999
0.798 0.431 0.297
0.025 0.727 0.535
0.142 0.996 0.788
0.286 0.041 0.401
0.648 0.355 0.657
0.917 0.551 0.873
0.154 0.894 0.061
0.799 0.182 0.814
0.174 0.402 0.094
0.441 0.659 0.333
0.613 0.935 0.599
0.708 0.073 0.210
0.959 0.262 0.473
0.356 0.611 0.706
0.535 0.693 0.057
0.206 0.100 0.641
0.368 0.392 0.880
0.010 0.690 0.194
0.797 0.866 0.310
0.861 0.001 0.934
0.783 0.793 0.827
0.253 0.237 0.235
0.481 0.504 0.506
0.089 0.826 0.253
0.035 0.695 0.986
0.217 0.106 0.169
0.505 0.360 0.484
0.943 0.736 0.734
0.610 0.828 0.926
0.095 0.976 0.538
0.335 0.257 0.822
0.914 0.550 0.146
0.978 0.644 0.383
0.565 0.133 0.553
0.929 0.355 0.942
0.045 0.502 0.591
0.759 0.285 0.170
0.134 0.253 0.627
0.428 0.532 0.932
0.609 0.863 0.173
0.581 0.896 0.398
0.268 0.365 0.301
0.503 0.653 0.528
0.590 0.948 0.769
0.626 0.042 0.028
```


First-principles (PBE) data for a relaxed structure of Dy3GaCoSe7, as listed in Materials Project.

- V: 556.4 Å³ per cell
- E (MP2020): -134.053 eV for the cell shown
- E_tot: -5.3102 eV/atom

Cell and atoms, written as POSCAR:
```
Dy3GaCoSe7
1.0
9.981 0.000 0.000
-4.991 8.644 0.000
0.000 0.000 6.449
Dy Ga Co Se
6 2 2 14
Direct
0.842 0.627 0.677
0.786 0.158 0.677
0.373 0.214 0.677
0.158 0.373 0.177
0.214 0.842 0.177
0.627 0.786 0.177
0.333 0.667 0.602
0.667 0.333 0.102
0.000 0.000 0.009
0.000 0.000 0.509
0.562 0.481 0.945
0.919 0.438 0.945
0.519 0.081 0.945
0.438 0.519 0.445
0.081 0.562 0.445
0.481 0.919 0.445
0.333 0.667 0.974
0.667 0.333 0.474
0.129 0.900 0.765
0.772 0.871 0.765
0.100 0.228 0.765
0.871 0.100 0.265
0.228 0.129 0.265
0.900 0.772 0.265
```